Density functional theory data (PBE+U) for K4MgV4O10 after structural relaxation. Values from VASP.

Properties
Relative energy among the computed polymorphs: 0.00 kcal/mol of atoms
Space group: No. 1
ΔH_f (0 K): -2.183 eV per atom
M_tot: 6.00 μB/f.u.

```
&SYSTEM
  ibrav = 0, nat = 19, ntyp = 4
/
ATOMIC_SPECIES
K 39.10 K.upf
Mg 24.30 Mg.upf
V 50.94 V.upf
O 16.00 O.upf
CELL_PARAMETERS angstrom
6.2269 0.0000 0.0000
-1.8242 6.1812 0.0000
-2.5189 -2.4210 7.9719
ATOMIC_POSITIONS crystal
K 0.0000 0.0000 0.0000
K 0.1850 0.3329 0.4506
K 0.4236 0.6740 0.0188
K 0.6656 0.7729 0.4597
Mg 0.7394 0.3712 0.9757
V 0.0937 0.7727 0.3080
V 0.2790 0.0289 0.7304
V 0.5658 0.2267 0.2303
V 0.8258 0.3259 0.6833
O 0.0022 0.1344 0.7119
O 0.2187 0.7855 0.5523
O 0.3670 0.9473 0.2522
O 0.3881 0.3847 0.2088
O 0.4858 0.0897 0.9710
O 0.5348 0.2794 0.7255
O 0.7429 0.3500 0.4777
O 0.8744 0.4413 0.2154
O 0.8807 0.9090 0.2527
O 0.9668 0.5497 0.8799
```

=====

Density functional theory data (PBE+U) for Fe5O7F3 after structural relaxation. Values from VASP.

Properties
Relative energy among the computed polymorphs: 0.71 kcal/mol of atoms
Space group: No. 6
ΔH_f (0 K): -1.721 eV per atom
M_tot: 23.00 μB/f.u.

```
&SYSTEM
  ibrav = 0, nat = 30, ntyp = 3
/
ATOMIC_SPECIES
Fe 55.84 Fe.upf
O 16.00 O.upf
F 19.00 F.upf
CELL_PARAMETERS angstrom
4.6569 0.0000 0.0000
0.0000 15.2178 0.0000
-0.0033 0.0000 4.6579
ATOMIC_POSITIONS crystal
Fe 0.0000 0.0000 0.0000
Fe 0.0088 0.3991 0.0297
Fe 0.0088 0.6009 0.0297
Fe 0.0429 0.1926 0.0565
Fe 0.0429 0.8074 0.0565
Fe 0.5214 0.1000 0.5269
Fe 0.5214 0.9000 0.5269
Fe 0.5392 0.3061 0.4897
Fe 0.5392 0.6939 0.4897
Fe 0.5422 0.5000 0.5012
O 0.2131 0.0963 0.8262
O 0.2131 0.9037 0.8262
O 0.3327 0.4041 0.3155
O 0.3327 0.5959 0.3155
O 0.3486 0.1993 0.3400
O 0.3486 0.8007 0.3400
O 0.7000 0.0000 0.7039
O 0.7249 0.4024 0.7066
O 0.7249 0.5976 0.7066
O 0.8203 0.0948 0.2157
O 0.8203 0.9052 0.2157
O 0.8330 0.5000 0.2015
O 0.8489 0.2962 0.2101
O 0.8489 0.7038 0.2101
F 0.2238 0.5000 0.8165
F 0.2351 0.2981 0.8229
F 0.2351 0.7019 0.8229
F 0.3156 0.0000 0.3217
F 0.7352 0.2018 0.7235
F 0.7352 0.7982 0.7235
```

=====

Density functional theory data (PBE+U) for Sr3Fe2Br2O5 after structural relaxation. Values from VASP.

Properties
Space group: No. 139
ΔH_f (0 K): -2.325 eV per atom
M_tot: 10.00 μB/f.u.

```
&SYSTEM
  ibrav = 0, nat = 12, ntyp = 4
/
ATOMIC_SPECIES
Sr 87.62 Sr.upf
Fe 55.84 Fe.upf
Br 79.90 Br.upf
O 16.00 O.upf
CELL_PARAMETERS angstrom
-2.0051 2.0051 13.3612
2.0051 -2.0051 13.3612
2.0051 2.0051 -13.3612
ATOMIC_POSITIONS crystal
Sr 0.0000 0.0000 0.0000
Sr 0.1410 0.1410 0.0000
Sr 0.8590 0.8590 0.0000
Fe 0.4281 0.4281 0.0000
Fe 0.5719 0.5719 0.0000
Br 0.3057 0.3057 0.0000
Br 0.6943 0.6943 0.0000
O 0.0819 0.5819 0.5000
O 0.4181 0.9181 0.5000
O 0.5000 0.5000 0.0000
O 0.5819 0.0819 0.5000
O 0.9181 0.4181 0.5000
```

=====

Density functional theory data (PBE+U) for CoTe2O5 after structural relaxation. Values from VASP.

Properties
Relative energy among the computed polymorphs: 0.70 kcal/mol of atoms
Space group: No. 133
ΔH_f (0 K): -1.441 eV per atom
M_tot: 3.00 μB/f.u.

```
&SYSTEM
  ibrav = 0, nat = 64, ntyp = 3
/
ATOMIC_SPECIES
Co 58.93 Co.upf
Te 127.60 Te.upf
O 16.00 O.upf
CELL_PARAMETERS angstrom
8.7270 0.0000 0.0000
0.0000 8.7270 0.0000
0.0000 0.0000 12.9859
ATOMIC_POSITIONS crystal
Co 0.2500 0.2500 0.0000
Co 0.2500 0.2500 0.2500
Co 0.2500 0.2500 0.5000
Co 0.2500 0.2500 0.7500
Co 0.7500 0.7500 0.0000
Co 0.7500 0.7500 0.2500
Co 0.7500 0.7500 0.5000
Co 0.7500 0.7500 0.7500
Te 0.0394 0.5677 0.1170
Te 0.0394 0.9323 0.8830
Te 0.0677 0.5394 0.6170
Te 0.0677 0.9606 0.3830
Te 0.4323 0.5394 0.3830
Te 0.4323 0.9606 0.6170
Te 0.4606 0.5677 0.8830
Te 0.4606 0.9323 0.1170
Te 0.5394 0.0677 0.8830
Te 0.5394 0.4323 0.1170
Te 0.5677 0.0394 0.3830
Te 0.5677 0.4606 0.6170
Te 0.9323 0.0394 0.6170
Te 0.9323 0.4606 0.3830
Te 0.9606 0.0677 0.1170
Te 0.9606 0.4323 0.8830
O 0.0237 0.1263 0.9531
O 0.0237 0.3737 0.0469
O 0.0550 0.0550 0.7500
O 0.0550 0.4450 0.2500
O 0.1059 0.1747 0.3642
O 0.1059 0.3253 0.6358
O 0.1263 0.0237 0.5469
O 0.1263 0.4763 0.4531
O 0.1747 0.1059 0.1358
O 0.1747 0.3941 0.8642
O 0.3253 0.1059 0.8642
O 0.3253 0.3941 0.1358
O 0.3737 0.0237 0.4531
O 0.3737 0.4763 0.5469
O 0.3941 0.1747 0.6358
O 0.3941 0.3253 0.3642
O 0.4450 0.0550 0.2500
O 0.4450 0.4450 0.7500
O 0.4763 0.1263 0.0469
O 0.4763 0.3737 0.9531
O 0.5237 0.6263 0.0469
O 0.5237 0.8737 0.9531
O 0.5550 0.5550 0.2500
O 0.5550 0.9450 0.7500
O 0.6059 0.6747 0.6358
O 0.6059 0.8253 0.3642
O 0.6263 0.5237 0.4531
O 0.6263 0.9763 0.5469
O 0.6747 0.6059 0.8642
O 0.6747 0.8941 0.1358
O 0.8253 0.6059 0.1358
O 0.8253 0.8941 0.8642
O 0.8737 0.5237 0.5469
O 0.8737 0.9763 0.4531
O 0.8941 0.6747 0.3642
O 0.8941 0.8253 0.6358
O 0.9450 0.5550 0.7500
O 0.9450 0.9450 0.2500
O 0.9763 0.6263 0.9531
O 0.9763 0.8737 0.0469
```

=====

Density functional theory data (PBE+U) for Li3MnP2O8 after structural relaxation. Values from VASP.

Properties
Relative energy among the computed polymorphs: 0.47 kcal/mol of atoms
Space group: No. 2
ΔH_f (0 K): -2.583 eV per atom
M_tot: 4.00 μB/f.u.

```
&SYSTEM
  ibrav = 0, nat = 42, ntyp = 4
/
ATOMIC_SPECIES
Li 6.94 Li.upf
Mn 54.94 Mn.upf
P 30.97 P.upf
O 16.00 O.upf
CELL_PARAMETERS angstrom
7.2563 0.0000 0.0000
-0.2778 8.3881 0.0000
-0.8178 -4.1758 7.4468
ATOMIC_POSITIONS crystal
Li 0.0000 0.0000 0.0000
Li 0.0184 0.3243 0.6759
Li 0.1449 0.0359 0.3388
Li 0.1805 0.6454 0.6798
Li 0.2025 0.3050 0.9668
Li 0.7975 0.6950 0.0332
Li 0.8195 0.3546 0.3202
Li 0.8551 0.9641 0.6612
Li 0.9816 0.6757 0.3241
Mn 0.4533 0.3326 0.6547
Mn 0.5000 0.0000 0.0000
Mn 0.5467 0.6674 0.3453
P 0.2369 0.3592 0.3164
P 0.2508 0.6923 0.0391
P 0.2803 0.9691 0.6510
P 0.7197 0.0309 0.3490
P 0.7492 0.3077 0.9609
P 0.7631 0.6408 0.6836
O 0.0595 0.4480 0.3035
O 0.0746 0.7704 0.1295
O 0.0933 0.8509 0.5887
O 0.2121 0.1508 0.1939
O 0.2260 0.4891 0.8961
O 0.2559 0.1252 0.5994
O 0.2807 0.4092 0.5193
O 0.3085 0.7991 0.9380
O 0.3175 0.0692 0.8631
O 0.3967 0.4337 0.2522
O 0.4099 0.7324 0.1890
O 0.4398 0.8527 0.5777
O 0.5602 0.1473 0.4223
O 0.5901 0.2676 0.8110
O 0.6033 0.5663 0.7478
O 0.6825 0.9308 0.1369
O 0.6915 0.2009 0.0620
O 0.7193 0.5908 0.4807
O 0.7441 0.8748 0.4006
O 0.7740 0.5109 0.1039
O 0.7879 0.8492 0.8061
O 0.9067 0.1491 0.4113
O 0.9254 0.2296 0.8705
O 0.9405 0.5520 0.6965
```

=====

Density functional theory data (PBE+U) for MgFe2Ag2O4 after structural relaxation. Values from VASP.

Properties
Relative energy among the computed polymorphs: 0.81 kcal/mol of atoms
Space group: No. 156
ΔH_f (0 K): -1.259 eV per atom
M_tot: 9.43 μB/f.u.

```
&SYSTEM
  ibrav = 0, nat = 9, ntyp = 4
/
ATOMIC_SPECIES
Mg 24.30 Mg.upf
Fe 55.84 Fe.upf
Ag 107.87 Ag.upf
O 16.00 O.upf
CELL_PARAMETERS angstrom
3.0794 0.0000 0.0000
-1.5397 2.6668 0.0000
0.0000 0.0000 14.2973
ATOMIC_POSITIONS crystal
Mg 0.0000 0.0000 0.0000
Fe 0.6667 0.3333 0.3858
Fe 0.6667 0.3333 0.8200
Ag 0.0000 0.0000 0.6061
Ag 0.3333 0.6667 0.1590
O 0.0000 0.0000 0.4603
O 0.0000 0.0000 0.7569
O 0.3333 0.6667 0.3158
O 0.3333 0.6667 0.9200
```

=====

Density functional theory data (PBE+U) for Li9Mn2Co5O16 after structural relaxation. Values from VASP.

Properties
Relative energy among the computed polymorphs: 1.15 kcal/mol of atoms
Space group: No. 1
ΔH_f (0 K): -1.814 eV per atom
M_tot: 14.00 μB/f.u.

```
&SYSTEM
  ibrav = 0, nat = 32, ntyp = 4
/
ATOMIC_SPECIES
Li 6.94 Li.upf
Mn 54.94 Mn.upf
Co 58.93 Co.upf
O 16.00 O.upf
CELL_PARAMETERS angstrom
5.8877 0.0000 0.0000
2.9117 5.1286 0.0000
0.0588 3.2315 9.5342
ATOMIC_POSITIONS crystal
Li 0.0000 0.0000 0.0000
Li 0.9999 0.0017 0.4924
Li 0.2358 0.0121 0.2361
Li 0.2563 0.9880 0.7514
Li 0.4922 0.0023 0.9977
Li 0.4953 0.0059 0.4932
Li 0.7406 0.0100 0.2412
Li 0.7575 0.9824 0.7549
Li 0.9968 0.4971 0.9933
Mn 0.2494 0.4945 0.7495
Mn 0.4962 0.5055 0.4958
Co 0.2476 0.4990 0.2359
Co 0.5026 0.5020 0.9970
Co 0.7489 0.5115 0.2357
Co 0.7577 0.4918 0.7510
Co 0.9981 0.4971 0.4906
O 0.1134 0.2681 0.3761
O 0.1408 0.2582 0.8586
O 0.1475 0.7216 0.8658
O 0.1519 0.7210 0.3766
O 0.3653 0.7275 0.6188
O 0.3682 0.2680 0.1294
O 0.3707 0.2786 0.6152
O 0.3776 0.7435 0.1194
O 0.6055 0.2765 0.8582
O 0.6189 0.2811 0.3745
O 0.6232 0.7323 0.3848
O 0.6317 0.7196 0.8604
O 0.8408 0.2873 0.6179
O 0.8454 0.2667 0.1181
O 0.8699 0.7376 0.1336
O 0.9006 0.7098 0.6306
```

=====

Density functional theory data (PBE+U) for Li3NiPCO7 after structural relaxation. Values from VASP.

Properties
Relative energy among the computed polymorphs: 0.92 kcal/mol of atoms
Space group: No. 14
ΔH_f (0 K): -2.254 eV per atom
M_tot: 2.00 μB/f.u.

```
&SYSTEM
  ibrav = 0, nat = 52, ntyp = 5
/
ATOMIC_SPECIES
Li 6.94 Li.upf
Ni 58.69 Ni.upf
P 30.97 P.upf
C 12.01 C.upf
O 16.00 O.upf
CELL_PARAMETERS angstrom
8.6068 0.0000 0.0000
0.0000 6.3013 0.0000
-0.9964 0.0000 9.6367
ATOMIC_POSITIONS crystal
Li 0.1085 0.2421 0.3611
Li 0.1085 0.2579 0.8611
Li 0.2787 0.5017 0.6284
Li 0.2787 0.9983 0.1284
Li 0.3558 0.7477 0.3629
Li 0.3558 0.7523 0.8629
Li 0.6442 0.2477 0.1371
Li 0.6442 0.2523 0.6371
Li 0.7213 0.0017 0.8716
Li 0.7213 0.4983 0.3716
Li 0.8915 0.7421 0.1389
Li 0.8915 0.7579 0.6389
Ni 0.2698 0.0036 0.6223
Ni 0.2698 0.4964 0.1223
Ni 0.7302 0.5036 0.8777
Ni 0.7302 0.9964 0.3777
P 0.4071 0.2391 0.3885
P 0.4071 0.2609 0.8885
P 0.5929 0.7391 0.1115
P 0.5929 0.7609 0.6115
C 0.0409 0.7409 0.9009
C 0.0409 0.7591 0.4009
C 0.9591 0.2409 0.5991
C 0.9591 0.2591 0.0991
O 0.0647 0.7407 0.2743
O 0.0647 0.7593 0.7743
O 0.1030 0.2263 0.5633
O 0.1030 0.2737 0.0633
O 0.1555 0.7421 0.9991
O 0.1555 0.7579 0.4991
O 0.3076 0.0509 0.3299
O 0.3076 0.4491 0.8299
O 0.3163 0.0603 0.8316
O 0.3163 0.4397 0.3316
O 0.4138 0.2378 0.5505
O 0.4138 0.2622 0.0505
O 0.4239 0.7406 0.1519
O 0.4239 0.7594 0.6519
O 0.5761 0.2406 0.3481
O 0.5761 0.2594 0.8481
O 0.5862 0.7378 0.9495
O 0.5862 0.7622 0.4495
O 0.6837 0.5603 0.6684
O 0.6837 0.9397 0.1684
O 0.6924 0.5509 0.1701
O 0.6924 0.9491 0.6701
O 0.8445 0.2421 0.5009
O 0.8445 0.2579 0.0009
O 0.8970 0.7263 0.9367
O 0.8970 0.7737 0.4367
O 0.9353 0.2407 0.2257
O 0.9353 0.2593 0.7257
```

=====

Density functional theory data (PBE+U) for MgFe6O6F6 after structural relaxation. Values from VASP.

Properties
Relative energy among the computed polymorphs: 4.23 kcal/mol of atoms
Space group: No. 1
ΔH_f (0 K): -1.960 eV per atom
M_tot: 26.55 μB/f.u.

```
&SYSTEM
  ibrav = 0, nat = 19, ntyp = 4
/
ATOMIC_SPECIES
Mg 24.30 Mg.upf
Fe 55.84 Fe.upf
O 16.00 O.upf
F 19.00 F.upf
CELL_PARAMETERS angstrom
4.8771 0.0000 0.0000
0.1456 5.6921 0.0000
0.5013 0.9376 7.8734
ATOMIC_POSITIONS crystal
Mg 0.0000 0.0000 0.0000
Fe 0.0095 0.7832 0.6822
Fe 0.0487 0.1462 0.3944
Fe 0.0569 0.4748 0.0763
Fe 0.5096 0.3065 0.7281
Fe 0.5166 0.9373 0.0267
Fe 0.5317 0.6322 0.3774
O 0.2667 0.4087 0.2956
O 0.2963 0.2316 0.9430
O 0.3212 0.5855 0.6056
O 0.7597 0.7041 0.1498
O 0.7640 0.0130 0.8015
O 0.8414 0.8541 0.4789
F 0.2226 0.7503 0.9041
F 0.2604 0.0820 0.6037
F 0.2953 0.9146 0.2650
F 0.7476 0.3496 0.4945
F 0.7987 0.5077 0.8091
F 0.8233 0.1737 0.1771
```